Run one
Compound: ZnCrSi2O6
Source: Materials Project
Functional: PBE with a Hubbard U
Structure: optimized geometry

Calculated values
V, Å³/atom: 12.007
Total magnetic moment, μB per cell: 0.00
Density, g cm⁻³: 3.728

Unit cell a=6.945 b=6.945 c=5.352 alpha=105.24 beta=105.24 gamma=88.00
Fractional coordinates of all 20 atoms:
Zn: 0.241 0.759 0.750
Zn: 0.759 0.241 0.250
Cr: 0.101 0.899 0.250
Cr: 0.899 0.101 0.750
Si: 0.217 0.385 0.272
Si: 0.385 0.217 0.772
Si: 0.615 0.783 0.228
Si: 0.783 0.615 0.728
O: 0.032 0.215 0.152
O: 0.151 0.612 0.379
O: 0.215 0.032 0.652
O: 0.323 0.375 0.027
O: 0.375 0.323 0.527
O: 0.388 0.849 0.121
O: 0.612 0.151 0.879
O: 0.625 0.677 0.473
O: 0.677 0.625 0.973
O: 0.785 0.968 0.348
O: 0.849 0.388 0.621
O: 0.968 0.785 0.848

Run two
Compound: ZnCrSi2O6
Source: Materials Project
Functional: PBE with a Hubbard U
Structure: optimized geometry

Calculated values
V, Å³/atom: 11.458
Total magnetic moment, μB per cell: 32.00
Density, g cm⁻³: 3.907

Unit cell a=5.327 b=18.727 c=9.189 alpha=90.00 beta=90.00 gamma=90.00
Fractional coordinates of all 80 atoms:
Zn: 0.118 0.124 0.150
Zn: 0.118 0.376 0.650
Zn: 0.382 0.624 0.150
Zn: 0.382 0.876 0.650
Zn: 0.618 0.124 0.350
Zn: 0.618 0.376 0.850
Zn: 0.882 0.624 0.350
Zn: 0.882 0.876 0.850
Cr: 0.124 0.124 0.517
Cr: 0.124 0.376 0.017
Cr: 0.376 0.624 0.517
Cr: 0.376 0.876 0.017
Cr: 0.624 0.124 0.983
Cr: 0.624 0.376 0.483
Cr: 0.876 0.624 0.983
Cr: 0.876 0.876 0.483
Si: 0.065 0.728 0.662
Si: 0.065 0.772 0.162
Si: 0.212 0.025 0.836
Si: 0.212 0.475 0.336
Si: 0.288 0.525 0.836
Si: 0.288 0.975 0.336
Si: 0.435 0.228 0.662
Si: 0.435 0.272 0.162
Si: 0.565 0.728 0.838
Si: 0.565 0.772 0.338
Si: 0.712 0.025 0.664
Si: 0.712 0.475 0.164
Si: 0.788 0.525 0.664
Si: 0.788 0.975 0.164
Si: 0.935 0.228 0.838
Si: 0.935 0.272 0.338
O: 0.058 0.685 0.164
O: 0.058 0.815 0.664
O: 0.068 0.689 0.505
O: 0.068 0.811 0.005
O: 0.077 0.551 0.710
O: 0.077 0.949 0.210
O: 0.165 0.197 0.733
O: 0.165 0.303 0.233
O: 0.203 0.566 0.983
O: 0.203 0.934 0.483
O: 0.211 0.563 0.339
O: 0.211 0.937 0.839
O: 0.289 0.063 0.339
O: 0.289 0.437 0.839
O: 0.297 0.066 0.983
O: 0.297 0.434 0.483
O: 0.335 0.697 0.733
O: 0.335 0.803 0.233
O: 0.423 0.051 0.710
O: 0.423 0.449 0.210
O: 0.432 0.189 0.505
O: 0.432 0.311 0.005
O: 0.442 0.185 0.164
O: 0.442 0.315 0.664
O: 0.558 0.685 0.336
O: 0.558 0.815 0.836
O: 0.568 0.689 0.995
O: 0.568 0.811 0.495
O: 0.577 0.551 0.790
O: 0.577 0.949 0.290
O: 0.665 0.197 0.767
O: 0.665 0.303 0.267
O: 0.703 0.566 0.517
O: 0.703 0.934 0.017
O: 0.711 0.563 0.161
O: 0.711 0.937 0.661
O: 0.789 0.063 0.161
O: 0.789 0.437 0.661
O: 0.797 0.066 0.517
O: 0.797 0.434 0.017
O: 0.835 0.697 0.767
O: 0.835 0.803 0.267
O: 0.923 0.051 0.790
O: 0.923 0.449 0.290
O: 0.932 0.189 0.995
O: 0.932 0.311 0.495
O: 0.942 0.185 0.336
O: 0.942 0.315 0.836

run one wins, 15 meV per atom ahead of the next structure.

Run one
Compound: SmCrTeO6
Source: Materials Project
Functional: PBE with a Hubbard U
Structure: optimized geometry

Calculated values
V, Å³/atom: 13.224
Total magnetic moment, μB per cell: 6.00
Density, g cm⁻³: 5.943

Unit cell a=5.220 b=5.220 c=10.087 alpha=90.00 beta=90.00 gamma=120.00
Fractional coordinates of all 18 atoms:
Sm: 0.000 0.000 0.000
Sm: 0.000 0.000 0.500
Cr: 0.333 0.667 0.250
Cr: 0.667 0.333 0.750
Te: 0.333 0.667 0.750
Te: 0.667 0.333 0.250
O: 0.010 0.370 0.858
O: 0.010 0.640 0.642
O: 0.360 0.370 0.642
O: 0.360 0.990 0.858
O: 0.370 0.010 0.358
O: 0.370 0.360 0.142
O: 0.630 0.640 0.858
O: 0.630 0.990 0.642
O: 0.640 0.010 0.142
O: 0.640 0.630 0.358
O: 0.990 0.360 0.358
O: 0.990 0.630 0.142

Run two
Compound: SmCrTeO6
Source: Materials Project
Functional: PBE with a Hubbard U
Structure: optimized geometry

Calculated values
V, Å³/atom: 12.469
Total magnetic moment, μB per cell: 6.00
Density, g cm⁻³: 6.303

Unit cell a=5.498 b=5.498 c=8.574 alpha=90.00 beta=90.00 gamma=120.00
Fractional coordinates of all 18 atoms:
Sm: 0.333 0.667 0.250
Sm: 0.667 0.333 0.750
Cr: 0.000 0.000 0.000
Cr: 0.000 0.000 0.500
Te: 0.333 0.667 0.750
Te: 0.667 0.333 0.250
O: 0.052 0.356 0.878
O: 0.052 0.696 0.622
O: 0.304 0.356 0.622
O: 0.304 0.948 0.878
O: 0.356 0.052 0.378
O: 0.356 0.304 0.122
O: 0.644 0.696 0.878
O: 0.644 0.948 0.622
O: 0.696 0.052 0.122
O: 0.696 0.644 0.378
O: 0.948 0.304 0.378
O: 0.948 0.644 0.122

run one wins, 302 meV per atom ahead of the next structure.

Run one
Compound: SrCrO2
Source: Materials Project
Functional: PBE with a Hubbard U
Structure: optimized geometry

Calculated values
V, Å³/atom: 14.288
Total magnetic moment, μB per cell: 0.00
Density, g cm⁻³: 4.986

Unit cell a=5.340 b=5.339 c=5.339 alpha=98.95 beta=114.97 gamma=114.97
Fractional coordinates of all 8 atoms:
O: 0.500 0.250 0.250
O: 0.500 0.750 0.750
O: 0.000 0.750 0.250
O: 0.000 0.250 0.750
Sr: 0.500 0.250 0.750
Sr: 0.500 0.750 0.250
Cr: 0.000 0.000 0.000
Cr: 0.000 0.500 0.500

Run two
Compound: SrCrO2
Source: Materials Project
Functional: PBE with a Hubbard U
Structure: optimized geometry

Calculated values
V, Å³/atom: 14.391
Total magnetic moment, μB per cell: 0.00
Density, g cm⁻³: 4.951

Unit cell a=5.353 b=6.724 c=6.724 alpha=74.47 beta=82.77 gamma=82.77
Fractional coordinates of all 16 atoms:
O: 0.750 0.875 0.875
O: 0.250 0.625 0.625
O: 0.002 0.749 0.249
O: 0.750 0.375 0.375
O: 0.002 0.249 0.749
O: 0.498 0.501 0.001
O: 0.498 0.001 0.501
O: 0.250 0.125 0.125
Sr: 0.502 0.752 0.252
Sr: 0.998 0.498 0.998
Sr: 0.998 0.998 0.498
Sr: 0.502 0.252 0.752
Cr: 0.490 0.756 0.756
Cr: 0.490 0.256 0.256
Cr: 0.010 0.494 0.494
Cr: 0.010 0.994 0.994

run one wins, 14 meV per atom ahead of the next structure.